No. 1
MgFeCo2O6: relaxed, PBE+U.

POSCAR file:
```
MgFeCo2O6
1.0
6.306 -1.452 0.000
6.306 1.452 0.000
-1.346 0.000 5.583
Mg Fe Co O
1 1 2 6
Cartesian
0.000 0.000 0.000
7.455 0.000 4.393
3.819 0.000 0.982
11.809 0.000 2.770
1.060 0.000 3.115
2.083 0.000 0.191
5.678 0.000 1.463
5.332 0.000 4.088
9.208 0.000 5.341
9.998 0.000 2.163
```

Results
**Volume**: 10.23 Å³/atom
**Energy of formation**: -1.57 eV/atom

---

No. 2
Mg14FeCoO16: relaxed, PBE+U.

POSCAR file:
```
Mg14FeCoO16
1.0
4.273 0.000 0.000
0.000 8.521 0.000
0.000 0.000 8.553
Mg Fe Co O
14 1 1 16
Cartesian
0.000 0.000 0.000
0.000 2.100 2.140
0.000 2.100 6.413
0.000 4.260 0.000
0.000 6.421 2.140
0.000 6.421 6.413
2.137 0.000 2.157
2.137 0.000 6.395
2.137 2.080 4.276
2.137 2.118 0.000
2.137 4.260 2.122
2.137 4.260 6.431
2.137 6.403 0.000
2.137 6.440 4.276
0.000 4.260 4.276
0.000 0.000 4.276
0.000 0.000 2.067
0.000 0.000 6.486
0.000 2.149 0.000
0.000 2.215 4.276
0.000 4.260 2.140
0.000 4.260 6.413
0.000 6.306 4.276
0.000 6.371 0.000
2.137 0.000 0.000
2.137 0.000 4.276
2.137 2.139 2.147
2.137 2.139 6.405
2.137 4.260 0.000
2.137 4.260 4.276
2.137 6.382 2.147
2.137 6.382 6.405
```

Results
**Volume**: 9.73 Å³/atom
**Energy of formation**: -2.79 eV/atom

---

Among the records above, which one has the highest volume?
MgFeCo2O6